Record 1
Density functional theory data (PBE) for a relaxed structure of LiZr2N3.

Calculated values
The energy relative to the elements comes out at -1518 meV per atom. The value obtained for the uncorrected energy is -8.67 eV/atom. Its symmetry is Cmcm.

a b c (Å): 6.6390 6.6390 4.4308
angles (deg): 90.00 90.00 60.39
Fractional positions:
Li 0.1339 0.8661 0.7500
Li 0.8661 0.1339 0.2500
Zr 0.1636 0.5182 0.2500
Zr 0.4818 0.8364 0.2500
Zr 0.5182 0.1636 0.7500
Zr 0.8364 0.4818 0.7500
N 0.1695 0.4666 0.7500
N 0.1866 0.8134 0.2500
N 0.4666 0.1695 0.2500
N 0.5334 0.8305 0.7500
N 0.8134 0.1866 0.7500
N 0.8305 0.5334 0.2500

Record 2
Density functional theory data (PBE) for a relaxed structure of Li3ZrN2.

Calculated values
The energy relative to the elements comes out at -899 meV per atom. The value obtained for the uncorrected energy is -5.94 eV/atom. Its symmetry is Ia-3. Its energy above the lowest structure with this stoichiometry is 0.00 eV per formula unit.

a b c (Å): 8.8221 8.8221 8.8221
angles (deg): 109.47 109.47 109.47
Fractional positions:
Li 0.0004 0.0616 0.7688
Li 0.9996 0.9384 0.2312
Li 0.0612 0.4996 0.2684
Li 0.0616 0.7688 0.0004
Li 0.2072 0.7684 0.2688
Li 0.2312 0.9996 0.9384
Li 0.2316 0.7312 0.7928
Li 0.2684 0.0612 0.4996
Li 0.2688 0.2072 0.7684
Li 0.2928 0.5616 0.5612
Li 0.4384 0.4388 0.7072
Li 0.4388 0.7072 0.4384
Li 0.4996 0.2684 0.0612
Li 0.5004 0.7316 0.9388
Li 0.5612 0.2928 0.5616
Li 0.5616 0.5612 0.2928
Li 0.7072 0.4384 0.4388
Li 0.7312 0.7928 0.2316
Li 0.7316 0.9388 0.5004
Li 0.7684 0.2688 0.2072
Li 0.7688 0.0004 0.0616
Li 0.7928 0.2316 0.7312
Li 0.9384 0.2312 0.9996
Li 0.9388 0.5004 0.7316
Zr 0.0000 0.2426 0.5000
Zr 0.0000 0.7574 0.5000
Zr 0.2426 0.5000 0.0000
Zr 0.2574 0.2574 0.2574
Zr 0.5000 0.0000 0.2426
Zr 0.5000 0.0000 0.7574
Zr 0.7426 0.7426 0.7426
Zr 0.7574 0.5000 0.0000
N 0.0000 0.0000 0.5000
N 0.0000 0.5000 0.0000
N 0.0082 0.2500 0.2582
N 0.2418 0.4918 0.7500
N 0.2500 0.2582 0.0082
N 0.2500 0.7582 0.5082
N 0.2582 0.0082 0.2500
N 0.4918 0.7500 0.2418
N 0.5000 0.0000 0.0000
N 0.5000 0.5000 0.5000
N 0.5082 0.2500 0.7582
N 0.7418 0.9918 0.7500
N 0.7500 0.2418 0.4918
N 0.7500 0.7418 0.9918
N 0.7582 0.5082 0.2500
N 0.9918 0.7500 0.7418

Record 3
Density functional theory data (PBE) for a relaxed structure of Na4LiNb5O15.

Calculated values
The energy relative to the elements comes out at -2838 meV per atom. The value obtained for the uncorrected energy is -7.70 eV/atom. Its symmetry is R3.

a b c (Å): 23.6549 23.6549 23.6549
angles (deg): 13.41 13.41 13.41
Fractional positions:
Na 0.0000 0.0000 0.0000
Na 0.0995 0.0995 0.0995
Na 0.1998 0.1998 0.1998
Na 0.3000 0.3000 0.3000
Na 0.4996 0.4996 0.4996
Na 0.5999 0.5999 0.5999
Na 0.6998 0.6998 0.6998
Na 0.8999 0.8999 0.8999
Li 0.4023 0.4023 0.4023
Li 0.8022 0.8022 0.8022
Nb 0.0483 0.0483 0.0483
Nb 0.1471 0.1471 0.1471
Nb 0.2479 0.2479 0.2479
Nb 0.3483 0.3483 0.3483
Nb 0.4478 0.4478 0.4478
Nb 0.5478 0.5478 0.5478
Nb 0.6481 0.6481 0.6481
Nb 0.7476 0.7476 0.7476
Nb 0.8476 0.8476 0.8476
Nb 0.9480 0.9480 0.9480
O 0.0207 0.5981 0.1646
O 0.0642 0.4976 0.9199
O 0.0999 0.5170 0.6655
O 0.1183 0.2656 0.7001
O 0.1646 0.0207 0.5981
O 0.1955 0.7944 0.3928
O 0.1976 0.7640 0.6210
O 0.2656 0.7001 0.1183
O 0.2983 0.7208 0.8646
O 0.3210 0.4643 0.8977
O 0.3928 0.1955 0.7944
O 0.3952 0.9928 0.7959
O 0.4214 0.9984 0.5642
O 0.4643 0.8977 0.3210
O 0.4976 0.9199 0.0642
O 0.5170 0.6655 0.0999
O 0.5642 0.4214 0.9984
O 0.5981 0.1646 0.0207
O 0.6210 0.1976 0.7640
O 0.6655 0.0999 0.5170
O 0.7001 0.1183 0.2656
O 0.7208 0.8646 0.2983
O 0.7640 0.6210 0.1976
O 0.7944 0.3928 0.1955
O 0.7959 0.3952 0.9928
O 0.8646 0.2983 0.7208
O 0.8977 0.3210 0.4643
O 0.9199 0.0642 0.4976
O 0.9928 0.7959 0.3952
O 0.9984 0.5642 0.4214

Record 4
Density functional theory data (PBE) for a relaxed structure of NaLiNb4O12.

Calculated values
The energy relative to the elements comes out at -2662 meV per atom. The value obtained for the uncorrected energy is -7.93 eV/atom. Its symmetry is Amm2.

a b c (Å): 7.8779 5.5029 5.5029
angles (deg): 89.09 90.00 90.00
Fractional positions:
Na 0.0000 0.0000 0.0000
Li 0.5000 0.5368 0.5368
Nb 0.2535 0.0211 0.5070
Nb 0.2535 0.5070 0.0211
Nb 0.7465 0.0211 0.5070
Nb 0.7465 0.5070 0.0211
O 0.0000 0.0647 0.4790
O 0.0000 0.4790 0.0647
O 0.2148 0.7411 0.7411
O 0.2387 0.2243 0.8174
O 0.2387 0.8174 0.2243
O 0.3124 0.3328 0.3328
O 0.5000 0.5383 0.9379
O 0.5000 0.9379 0.5383
O 0.6876 0.3328 0.3328
O 0.7613 0.2243 0.8174
O 0.7613 0.8174 0.2243
O 0.7852 0.7411 0.7411

Record 5
Density functional theory data (PBE) for a relaxed structure of NaLiO.

Calculated values
The energy relative to the elements comes out at -1681 meV per atom. The value obtained for the uncorrected energy is -4.18 eV/atom. Its symmetry is P6_3/mmc.

a b c (Å): 3.3527 3.3527 6.7348
angles (deg): 90.00 90.00 120.00
Fractional positions:
Na 0.0000 0.0000 0.0000
Na 0.0000 0.0000 0.5000
Li 0.3333 0.6667 0.2500
Li 0.6667 0.3333 0.7500
O 0.3333 0.6667 0.7500
O 0.6667 0.3333 0.2500

Record 6
Density functional theory data (PBE) for a relaxed structure of NaLiO.

Calculated values
The energy relative to the elements comes out at -1646 meV per atom. The value obtained for the uncorrected energy is -4.14 eV/atom. Its symmetry is I4/mmm.

a b c (Å): 6.8005 6.8005 6.8005
angles (deg): 96.45 96.45 140.85
Fractional positions:
Na 0.0000 0.3420 0.3420
Na 0.0000 0.6580 0.6580
Na 0.3420 0.0000 0.3420
Na 0.6580 0.0000 0.6580
Li 0.3497 0.3497 0.6995
Li 0.3497 0.6503 0.0000
Li 0.6503 0.3497 0.0000
Li 0.6503 0.6503 0.3005
O 0.2187 0.5000 0.7187
O 0.5000 0.2187 0.7187
O 0.5000 0.7813 0.2813
O 0.7813 0.5000 0.2813

Record 7
Density functional theory data (PBE) for a relaxed structure of NaLiO3.

Calculated values
The energy relative to the elements comes out at -739 meV per atom. The value obtained for the uncorrected energy is -3.94 eV/atom. Its symmetry is Pm-3m.

a b c (Å): 3.8378 3.8378 3.8378
angles (deg): 90.00 90.00 90.00
Fractional positions:
Na 0.0000 0.0000 0.0000
Li 0.5000 0.5000 0.5000
O 0.0000 0.5000 0.5000
O 0.5000 0.0000 0.5000
O 0.5000 0.5000 0.0000

Record 8
Density functional theory data (PBE) for a relaxed structure of Na5LiP2O8.

Calculated values
The energy relative to the elements comes out at -2565 meV per atom. The value obtained for the uncorrected energy is -5.90 eV/atom. Its symmetry is Pnma.

a b c (Å): 10.2695 14.9364 10.2553
angles (deg): 90.00 90.00 90.00
Fractional positions:
Na 0.0026 0.0020 0.2220
Na 0.0026 0.4980 0.2220
Na 0.0097 0.6133 0.4845
Na 0.0097 0.8867 0.4845
Na 0.2132 0.2500 0.0159
Na 0.2329 0.2500 0.4342
Na 0.2432 0.1053 0.2430
Na 0.2432 0.3947 0.2430
Na 0.2470 0.1369 0.7250
Na 0.2470 0.3631 0.7250
Na 0.2530 0.6369 0.2250
Na 0.2530 0.8631 0.2250
Na 0.2568 0.6053 0.7430
Na 0.2568 0.8947 0.7430
Na 0.2671 0.7500 0.9342
Na 0.2868 0.7500 0.5159
Na 0.4903 0.1133 0.9845
Na 0.4903 0.3867 0.9845
Na 0.4974 0.5020 0.7220
Na 0.4974 0.9980 0.7220
Na 0.5026 0.0020 0.2780
Na 0.5026 0.4980 0.2780
Na 0.5097 0.6133 0.0155
Na 0.5097 0.8867 0.0155
Na 0.7132 0.2500 0.4841
Na 0.7329 0.2500 0.0658
Na 0.7432 0.1053 0.2570
Na 0.7432 0.3947 0.2570
Na 0.7470 0.1369 0.7750
Na 0.7470 0.3631 0.7750
Na 0.7530 0.6369 0.2750
Na 0.7530 0.8631 0.2750
Na 0.7568 0.6053 0.7570
Na 0.7568 0.8947 0.7570
Na 0.7671 0.7500 0.5658
Na 0.7868 0.7500 0.9841
Na 0.9903 0.1133 0.5155
Na 0.9903 0.3867 0.5155
Na 0.9974 0.5020 0.7780
Na 0.9974 0.9980 0.7780
Li 0.0104 0.6398 0.0040
Li 0.0104 0.8602 0.0040
Li 0.4896 0.1398 0.5040
Li 0.4896 0.3602 0.5040
Li 0.5104 0.6398 0.4960
Li 0.5104 0.8602 0.4960
Li 0.9896 0.1398 0.9960
Li 0.9896 0.3602 0.9960
P 0.0028 0.7500 0.2749
P 0.0205 0.7500 0.7477
P 0.2486 0.5007 0.9945
P 0.2486 0.9993 0.9945
P 0.2514 0.0007 0.4945
P 0.2514 0.4993 0.4945
P 0.4795 0.2500 0.2477
P 0.4972 0.2500 0.7749
P 0.5028 0.7500 0.2251
P 0.5205 0.7500 0.7523
P 0.7486 0.5007 0.5055
P 0.7486 0.9993 0.5055
P 0.7514 0.0007 0.0055
P 0.7514 0.4993 0.0055
P 0.9795 0.2500 0.2523
P 0.9972 0.2500 0.7251
O 0.0031 0.7500 0.8999
O 0.0071 0.1637 0.8100
O 0.0071 0.3363 0.8100
O 0.0430 0.1642 0.3102
O 0.0430 0.3358 0.3102
O 0.1120 0.2500 0.6246
O 0.1344 0.7500 0.3514
O 0.1445 0.0687 0.0403
O 0.1445 0.4313 0.0403
O 0.1484 0.0111 0.6059
O 0.1484 0.4889 0.6059
O 0.1699 0.7500 0.7155
O 0.1802 0.5307 0.3689
O 0.1802 0.9693 0.3689
O 0.1817 0.5926 0.9667
O 0.1817 0.9074 0.9667
O 0.3183 0.0926 0.4667
O 0.3183 0.4074 0.4667
O 0.3198 0.0307 0.8689
O 0.3198 0.4693 0.8689
O 0.3301 0.2500 0.2155
O 0.3516 0.5111 0.1059
O 0.3516 0.9889 0.1059
O 0.3555 0.5687 0.5403
O 0.3555 0.9313 0.5403
O 0.3656 0.2500 0.8514
O 0.3880 0.7500 0.1246
O 0.4570 0.6642 0.8102
O 0.4570 0.8358 0.8102
O 0.4929 0.6637 0.3100
O 0.4929 0.8363 0.3100
O 0.4969 0.2500 0.3999
O 0.5031 0.7500 0.6001
O 0.5071 0.1637 0.6900
O 0.5071 0.3363 0.6900
O 0.5430 0.1642 0.1898
O 0.5430 0.3358 0.1898
O 0.6120 0.2500 0.8754
O 0.6344 0.7500 0.1486
O 0.6445 0.0687 0.4597
O 0.6445 0.4313 0.4597
O 0.6484 0.0111 0.8941
O 0.6484 0.4889 0.8941
O 0.6699 0.7500 0.7845
O 0.6802 0.5307 0.1311
O 0.6802 0.9693 0.1311
O 0.6817 0.5926 0.5333
O 0.6817 0.9074 0.5333
O 0.8183 0.0926 0.0333
O 0.8183 0.4074 0.0333
O 0.8198 0.0307 0.6311
O 0.8198 0.4693 0.6311
O 0.8301 0.2500 0.2845
O 0.8516 0.5111 0.3941
O 0.8516 0.9889 0.3941
O 0.8555 0.5687 0.9597
O 0.8555 0.9313 0.9597
O 0.8656 0.2500 0.6486
O 0.8880 0.7500 0.3754
O 0.9570 0.6642 0.6898
O 0.9570 0.8358 0.6898
O 0.9929 0.6637 0.1900
O 0.9929 0.8363 0.1900
O 0.9969 0.2500 0.1001